(1)
This record from the Materials Project describes a relaxed structure of CaRe2O10. The functional is PBE.

abc: 10.5481 10.5481 14.3233
angles: 66.85 66.85 40.10
Sites, in units of the cell vectors:
Ca: 0.7338 0.9862 0.4466
Ca: 0.0138 0.2662 0.0534
Ca: 0.2662 0.0138 0.5534
Ca: 0.9862 0.7338 0.9466
Re: 0.8187 0.5326 0.4227
Re: 0.4674 0.1813 0.0773
Re: 0.1813 0.4674 0.5773
Re: 0.5326 0.8187 0.9227
Re: 0.8165 0.0361 0.6829
Re: 0.9639 0.1835 0.8171
Re: 0.1835 0.9639 0.3171
Re: 0.0361 0.8165 0.1829
O: 0.7511 0.4050 0.7643
O: 0.5950 0.2489 0.7357
O: 0.2489 0.5950 0.2357
O: 0.4050 0.7511 0.2643
O: 0.0094 0.6390 0.4905
O: 0.3610 0.9906 0.0095
O: 0.9906 0.3610 0.5095
O: 0.6390 0.0094 0.9905
O: 0.9434 0.5335 0.3003
O: 0.4665 0.0566 0.1997
O: 0.0566 0.4665 0.6997
O: 0.5335 0.9434 0.8003
O: 0.1319 0.4221 0.9052
O: 0.5779 0.8681 0.5948
O: 0.8681 0.5779 0.0948
O: 0.4221 0.1319 0.4052
O: 0.2214 0.3816 0.0407
O: 0.6184 0.7786 0.4593
O: 0.7786 0.6184 0.9593
O: 0.3816 0.2214 0.5407
O: 0.0843 0.1729 0.2196
O: 0.8271 0.9157 0.2804
O: 0.9157 0.8271 0.7804
O: 0.1729 0.0843 0.7196
O: 0.9885 0.0493 0.6303
O: 0.9507 0.0115 0.8697
O: 0.0115 0.9507 0.3697
O: 0.0493 0.9885 0.1303
O: 0.2773 0.5463 0.5768
O: 0.4537 0.7227 0.9232
O: 0.7227 0.4537 0.4232
O: 0.5463 0.2773 0.0768
O: 0.3473 0.5443 0.8871
O: 0.4557 0.6527 0.6129
O: 0.6527 0.4557 0.1129
O: 0.5443 0.3473 0.3871
O: 0.9848 0.2288 0.9135
O: 0.7712 0.0152 0.5865
O: 0.0152 0.7712 0.0865
O: 0.2288 0.9848 0.4135

The space-group type is C2/c (15). The raw total energy comes out at -7.122 eV/atom. Its density is 4.1 Mg/m³.

(2)
This record from the Materials Project describes a relaxed structure of CaRe2O10. The functional is PBE.

abc: 10.4346 10.4346 14.2536
angles: 67.15 67.15 40.16
Sites, in units of the cell vectors:
Ca: 0.6796 0.9404 0.9624
Ca: 0.9404 0.6796 0.4624
Ca: 0.6554 0.3984 0.8566
Ca: 0.3984 0.6554 0.3566
Re: 0.6326 0.8507 0.7281
Re: 0.8507 0.6326 0.2281
Re: 0.4840 0.7015 0.5943
Re: 0.7015 0.4840 0.0943
Re: 0.8455 0.1386 0.4918
Re: 0.1386 0.8455 0.9918
Re: 0.1911 0.4926 0.8359
Re: 0.4926 0.1911 0.3359
O: 0.6607 0.7106 0.5419
O: 0.7106 0.6607 0.0419
O: 0.6086 0.6856 0.7802
O: 0.6856 0.6086 0.2802
O: 0.8900 0.0465 0.9548
O: 0.0465 0.8900 0.4548
O: 0.8048 0.0842 0.8159
O: 0.0842 0.8048 0.3159
O: 0.2614 0.9176 0.6464
O: 0.9176 0.2614 0.1464
O: 0.4425 0.2906 0.8684
O: 0.2906 0.4425 0.3684
O: 0.0163 0.2105 0.7978
O: 0.2105 0.0163 0.2978
O: 0.1074 0.3986 0.8378
O: 0.3986 0.1074 0.3378
O: 0.1805 0.6284 0.7148
O: 0.6284 0.1805 0.2148
O: 0.0271 0.6565 0.9276
O: 0.6565 0.0271 0.4276
O: 0.6827 0.4367 0.9969
O: 0.4367 0.6827 0.4969
O: 0.5809 0.4915 0.6919
O: 0.4915 0.5809 0.1920
O: 0.4197 0.0805 0.6761
O: 0.0805 0.4197 0.1761
O: 0.6644 0.8858 0.8252
O: 0.8858 0.6644 0.3252
O: 0.8435 0.7455 0.6304
O: 0.7455 0.8435 0.1304
O: 0.7191 0.1394 0.6144
O: 0.1394 0.7191 0.1144
O: 0.9419 0.2194 0.4905
O: 0.2194 0.9419 0.9905
O: 0.3103 0.6725 0.9044
O: 0.6725 0.3103 0.4044
O: 0.0955 0.3396 0.5537
O: 0.3396 0.0955 0.0537
O: 0.2481 0.5250 0.5165
O: 0.5250 0.2481 0.0165

The space-group type is Cc (9). The raw total energy comes out at -7.119 eV/atom. Its density is 4.2 Mg/m³.

(3)
This record from the Materials Project describes a relaxed structure of Ca3ReO6. The functional is PBE.

abc: 5.8585 5.5746 9.8048
angles: 55.42 90.00 90.00
Sites, in units of the cell vectors:
Ca: 0.5586 0.2274 0.2566
Ca: 0.0586 0.7726 0.2434
Ca: 0.5000 0.0000 0.0000
Ca: 0.0000 0.0000 0.5000
Ca: 0.9414 0.2274 0.7566
Ca: 0.4414 0.7726 0.7434
Re: 0.0000 0.5000 0.0000
Re: 0.5000 0.5000 0.5000
O: 0.5526 0.3885 0.7257
O: 0.0526 0.6115 0.7743
O: 0.4474 0.6115 0.2743
O: 0.9474 0.3885 0.2257
O: 0.7756 0.7378 0.4295
O: 0.2756 0.2622 0.0705
O: 0.2244 0.2622 0.5705
O: 0.7244 0.7378 0.9295
O: 0.1762 0.8351 0.9497
O: 0.6762 0.1649 0.5503
O: 0.8238 0.1649 0.0503
O: 0.3238 0.8351 0.4497

The space-group type is P2_1/c (14). The raw total energy comes out at -7.326 eV/atom. Its density is 5.1 Mg/m³.

(4)
This record from the Materials Project describes a relaxed structure of Ca2ScReO6. The functional is PBE.

abc: 5.6466 5.6948 8.0090
angles: 90.00 90.00 90.00
Sites, in units of the cell vectors:
Ca: 0.0000 0.4631 0.2523
Ca: 0.0000 0.5369 0.7477
Ca: 0.5000 0.9631 0.2477
Ca: 0.5000 0.0369 0.7523
Sc: 0.0000 0.0000 0.0000
Sc: 0.5000 0.5000 0.5000
Re: 0.0000 0.0000 0.5000
Re: 0.5000 0.5000 0.0000
O: 0.5000 0.5132 0.2439
O: 0.5000 0.4868 0.7561
O: 0.0000 0.0132 0.2561
O: 0.0000 0.9868 0.7439
O: 0.2452 0.2432 0.4988
O: 0.2452 0.7568 0.5012
O: 0.7452 0.7432 0.0012
O: 0.7452 0.2568 0.9988
O: 0.2547 0.2568 0.9988
O: 0.2547 0.7432 0.0012
O: 0.7548 0.7568 0.5012
O: 0.7548 0.2432 0.4988

The space-group type is Pnnm (58). The raw total energy comes out at -7.809 eV/atom. Its density is 5.3 Mg/m³.

(5)
This record from the Materials Project describes a relaxed structure of CaRe3Se4O6. The functional is PBE.

abc: 7.9558 8.0182 10.5128
angles: 90.60 90.27 119.52
Sites, in units of the cell vectors:
Ca: 0.3215 0.6502 0.5912
Ca: 0.6785 0.3498 0.4088
Re: 0.1480 0.2225 0.8628
Re: 0.0757 0.8508 0.8618
Re: 0.7750 0.9251 0.8605
Re: 0.8520 0.7775 0.1372
Re: 0.9243 0.1492 0.1382
Re: 0.2250 0.0749 0.1395
Se: 0.9990 0.9979 0.6694
Se: 0.0010 0.0021 0.3306
Se: 0.3986 0.1345 0.9185
Se: 0.7388 0.6040 0.9141
Se: 0.8622 0.2610 0.9176
Se: 0.6014 0.8655 0.0815
Se: 0.2612 0.3960 0.0859
Se: 0.1378 0.7390 0.0824
O: 0.2517 0.4160 0.7541
O: 0.1683 0.7458 0.7528
O: 0.5792 0.8347 0.7493
O: 0.7483 0.5840 0.2459
O: 0.8317 0.2542 0.2472
O: 0.4208 0.1653 0.2507
O: 0.5611 0.5902 0.4812
O: 0.0230 0.4341 0.4781
O: 0.4101 0.9573 0.4791
O: 0.4389 0.4098 0.5188
O: 0.9770 0.5659 0.5219
O: 0.5899 0.0427 0.5209

The space-group type is P-1 (2). The raw total energy comes out at -6.655 eV/atom. Its density is 5.8 Mg/m³.

(6)
This record from the Materials Project describes a relaxed structure of CaRh2O4. The functional is PBE.

abc: 3.1630 9.1408 10.9090
angles: 90.00 90.00 90.00
Sites, in units of the cell vectors:
Ca: 0.7500 0.2663 0.1606
Ca: 0.2500 0.7337 0.8394
Ca: 0.7500 0.7663 0.3394
Ca: 0.2500 0.2337 0.6606
Rh: 0.2500 0.0924 0.4018
Rh: 0.7500 0.9076 0.5982
Rh: 0.2500 0.5924 0.0982
Rh: 0.7500 0.4076 0.9018
Rh: 0.7500 0.4476 0.3833
Rh: 0.2500 0.5524 0.6167
Rh: 0.7500 0.9476 0.1167
Rh: 0.2500 0.0524 0.8833
O: 0.2500 0.0881 0.0726
O: 0.7500 0.9119 0.9274
O: 0.2500 0.5881 0.4274
O: 0.7500 0.4119 0.5726
O: 0.2500 0.4529 0.7875
O: 0.7500 0.5471 0.2125
O: 0.2500 0.9529 0.7125
O: 0.7500 0.0471 0.2875
O: 0.2500 0.3824 0.0280
O: 0.7500 0.6176 0.9720
O: 0.2500 0.8824 0.4720
O: 0.7500 0.1176 0.5280
O: 0.7500 0.1918 0.8316
O: 0.2500 0.8082 0.1684
O: 0.7500 0.6918 0.6684
O: 0.2500 0.3082 0.3316

The space-group type is Pnma (62). The raw total energy comes out at -6.618 eV/atom. Its density is 6.5 Mg/m³.

Question: Among the records above, which one has the lowest raw total energy?
Answer: Ca2ScReO6

Repeat the sixth record exactly.
This record from the Materials Project describes a relaxed structure of CaRh2O4. The functional is PBE.

abc: 3.1630 9.1408 10.9090
angles: 90.00 90.00 90.00
Sites, in units of the cell vectors:
Ca: 0.7500 0.2663 0.1606
Ca: 0.2500 0.7337 0.8394
Ca: 0.7500 0.7663 0.3394
Ca: 0.2500 0.2337 0.6606
Rh: 0.2500 0.0924 0.4018
Rh: 0.7500 0.9076 0.5982
Rh: 0.2500 0.5924 0.0982
Rh: 0.7500 0.4076 0.9018
Rh: 0.7500 0.4476 0.3833
Rh: 0.2500 0.5524 0.6167
Rh: 0.7500 0.9476 0.1167
Rh: 0.2500 0.0524 0.8833
O: 0.2500 0.0881 0.0726
O: 0.7500 0.9119 0.9274
O: 0.2500 0.5881 0.4274
O: 0.7500 0.4119 0.5726
O: 0.2500 0.4529 0.7875
O: 0.7500 0.5471 0.2125
O: 0.2500 0.9529 0.7125
O: 0.7500 0.0471 0.2875
O: 0.2500 0.3824 0.0280
O: 0.7500 0.6176 0.9720
O: 0.2500 0.8824 0.4720
O: 0.7500 0.1176 0.5280
O: 0.7500 0.1918 0.8316
O: 0.2500 0.8082 0.1684
O: 0.7500 0.6918 0.6684
O: 0.2500 0.3082 0.3316

The space-group type is Pnma (62). The raw total energy comes out at -6.618 eV/atom. Its density is 6.5 Mg/m³.

Question: What is the formula in the second record?
Answer: CaRe2O10